<w>
## Tb4MgAl2Fe2O12 (GGA+U)

Data for an optimized crystal structure of Tb4MgAl2Fe2O12.

Geometry as POSCAR:
```
Tb4MgAl2Fe2O12
1.0
5.389 -0.344 0.260
-0.145 5.861 -0.211
0.298 -0.353 8.203
O Al Tb Fe Mg
12 2 4 2 1
Direct
0.603 0.003 0.776 O
0.350 0.886 0.224 O
0.229 0.114 0.983 O
0.214 0.731 0.571 O
0.782 0.802 0.039 O
0.768 0.336 0.420 O
0.188 0.251 0.668 O
0.757 0.836 0.414 O
0.723 0.292 0.062 O
0.809 0.527 0.730 O
0.329 0.633 0.914 O
0.244 0.341 0.356 O
0.033 0.444 0.543 Al
0.472 0.910 0.004 Al
0.570 0.564 0.255 Tb
0.977 0.074 0.221 Tb
0.448 0.071 0.471 Tb
0.001 0.934 0.785 Tb
0.986 0.492 0.951 Fe
0.527 0.675 0.658 Fe
0.490 0.320 0.857 Mg
```

=====

<x>
## Tb4MgAl2Fe2O12 (GGA+U)

Data for an optimized crystal structure of Tb4MgAl2Fe2O12.

Geometry as POSCAR:
```
Tb4MgAl2Fe2O12
1.0
5.359 -0.025 0.241
-0.019 5.854 0.143
0.343 0.201 8.268
O Tb Fe Al Mg
12 4 2 2 1
Direct
0.784 0.813 0.425 O
0.147 0.435 0.287 O
0.275 0.664 0.539 O
0.185 0.181 0.564 O
0.311 0.688 0.891 O
0.218 0.149 0.905 O
0.756 0.366 0.101 O
0.705 0.317 0.456 O
0.773 0.854 0.060 O
0.668 0.068 0.788 O
0.311 0.898 0.182 O
0.863 0.517 0.715 O
0.537 0.585 0.278 Tb
0.028 0.870 0.728 Tb
0.448 0.408 0.718 Tb
0.958 0.089 0.246 Tb
0.495 0.001 0.497 Fe
0.048 0.627 0.095 Fe
0.006 0.455 0.502 Al
0.466 0.941 0.970 Al
0.894 0.287 0.892 Mg
```

=====

<y>
## Tb4MgAl2Fe2O12 (GGA+U)

Data for an optimized crystal structure of Tb4MgAl2Fe2O12.

Geometry as POSCAR:
```
Tb4MgAl2Fe2O12
1.0
5.429 0.054 -0.186
0.047 5.827 0.233
-0.286 0.311 8.345
O Mg Tb Fe Al
12 1 4 2 2
Direct
0.165 0.224 0.561 O
0.329 0.979 0.281 O
0.694 0.363 0.122 O
0.873 0.537 0.758 O
0.704 0.348 0.464 O
0.746 0.855 0.086 O
0.656 0.017 0.739 O
0.813 0.802 0.459 O
0.173 0.440 0.210 O
0.265 0.671 0.562 O
0.329 0.668 0.896 O
0.294 0.127 0.905 O
0.383 0.220 0.115 Mg
0.477 0.406 0.731 Tb
0.520 0.629 0.280 Tb
0.051 0.918 0.720 Tb
0.932 0.118 0.294 Tb
0.487 0.008 0.507 Fe
0.969 0.547 0.007 Fe
0.530 0.900 0.918 Al
0.970 0.508 0.547 Al
```

=====

<w> wins, 0.013 eV/atom ahead of the next structure.

=====

<w>
## Na6Al4FeSi8O26 (GGA+U)

Data for an optimized crystal structure of Na6Al4FeSi8O26.

Geometry as POSCAR:
```
Na6Al4FeSi8O26
1.0
4.042 7.588 0.000
-4.042 7.588 0.000
0.000 4.275 9.737
O Na Si Fe Al
26 6 8 1 4
Direct
0.339 0.938 0.498 O
0.049 0.025 0.718 O
0.975 0.951 0.282 O
0.759 0.339 0.323 O
0.623 0.640 0.934 O
0.433 0.029 0.205 O
0.576 0.205 0.252 O
0.065 0.732 0.016 O
0.018 0.444 0.210 O
0.662 0.053 0.517 O
0.795 0.424 0.748 O
0.198 0.583 0.255 O
0.687 0.667 0.364 O
0.263 0.663 0.677 O
0.268 0.935 0.984 O
0.556 0.982 0.790 O
0.062 0.661 0.502 O
0.971 0.567 0.795 O
0.417 0.802 0.745 O
0.360 0.377 0.066 O
0.337 0.737 0.323 O
0.661 0.241 0.677 O
0.710 0.093 0.005 O
0.333 0.313 0.636 O
0.947 0.338 0.483 O
0.907 0.290 0.995 O
0.277 0.263 0.443 Na
0.840 0.845 0.890 Na
0.155 0.160 0.110 Na
0.478 0.455 0.834 Na
0.737 0.723 0.557 Na
0.545 0.522 0.166 Na
0.258 0.862 0.657 Si
0.534 0.163 0.131 Si
0.847 0.447 0.349 Si
0.138 0.742 0.343 Si
0.553 0.153 0.651 Si
0.151 0.548 0.132 Si
0.452 0.849 0.868 Si
0.837 0.466 0.869 Si
0.989 0.011 0.000 Fe
0.867 0.251 0.656 Al
0.749 0.133 0.344 Al
0.448 0.841 0.348 Al
0.159 0.552 0.652 Al
```

=====

<x>
## Na6Al4FeSi8O26 (GGA+U)

Data for an optimized crystal structure of Na6Al4FeSi8O26.

Geometry as POSCAR:
```
Na6Al4FeSi8O26
1.0
4.052 7.590 0.000
-4.052 7.590 0.000
0.000 4.310 9.673
O Al Si Na Fe
26 4 8 6 1
Direct
0.643 0.643 0.933 O
0.739 0.354 0.323 O
0.278 0.922 0.988 O
0.796 0.432 0.744 O
0.357 0.357 0.067 O
0.652 0.064 0.519 O
0.204 0.568 0.256 O
0.007 0.448 0.208 O
0.078 0.722 0.012 O
0.261 0.646 0.677 O
0.922 0.278 0.988 O
0.722 0.078 0.012 O
0.348 0.936 0.481 O
0.432 0.796 0.744 O
0.322 0.322 0.640 O
0.936 0.348 0.481 O
0.968 0.968 0.275 O
0.032 0.032 0.725 O
0.646 0.261 0.677 O
0.354 0.739 0.323 O
0.568 0.204 0.256 O
0.448 0.007 0.208 O
0.064 0.652 0.519 O
0.552 0.993 0.792 O
0.678 0.678 0.360 O
0.993 0.552 0.792 O
0.861 0.256 0.657 Al
0.744 0.139 0.343 Al
0.139 0.744 0.343 Al
0.256 0.861 0.657 Al
0.453 0.838 0.346 Si
0.154 0.540 0.133 Si
0.162 0.547 0.654 Si
0.838 0.453 0.346 Si
0.846 0.460 0.867 Si
0.547 0.162 0.654 Si
0.540 0.154 0.133 Si
0.460 0.846 0.867 Si
0.467 0.467 0.837 Na
0.848 0.848 0.885 Na
0.730 0.730 0.561 Na
0.533 0.533 0.163 Na
0.152 0.152 0.115 Na
0.270 0.270 0.439 Na
0.000 0.000 0.000 Fe
```

=====

<w> wins, 0.010 eV/atom ahead of the next structure.

=====

<w>
## Al4Fe3O12 (GGA+U)

Data for an optimized crystal structure of Al4Fe3O12.

Geometry as POSCAR:
```
Al4Fe3O12
1.0
-0.235 1.350 5.615
-4.669 -1.399 3.117
1.012 -12.558 12.034
O Al Fe
24 8 6
Direct
0.240 0.236 0.767 O
0.749 0.718 0.428 O
0.309 0.733 0.908 O
0.244 0.243 0.242 O
0.728 0.232 0.081 O
0.236 0.292 0.577 O
0.742 0.743 0.248 O
0.254 0.254 0.090 O
0.737 0.735 0.908 O
0.787 0.727 0.577 O
0.735 0.309 0.908 O
0.746 0.747 0.756 O
0.241 0.724 0.766 O
0.725 0.237 0.767 O
0.757 0.273 0.255 O
0.721 0.296 0.414 O
0.254 0.726 0.577 O
0.278 0.759 0.253 O
0.755 0.276 0.570 O
0.240 0.294 0.413 O
0.264 0.713 0.420 O
0.232 0.727 0.081 O
0.264 0.264 0.904 O
0.740 0.739 0.104 O
0.010 0.502 0.828 Al
0.503 0.007 0.829 Al
0.501 0.496 0.502 Al
0.505 0.503 0.829 Al
0.499 0.489 0.335 Al
0.499 0.000 0.169 Al
0.000 0.497 0.169 Al
0.996 0.495 0.502 Al
0.880 0.885 0.618 Fe
0.119 0.127 0.376 Fe
0.123 0.121 0.712 Fe
0.127 0.125 0.038 Fe
0.878 0.874 0.296 Fe
0.508 0.506 0.996 Fe
```

=====

<x>
## Al4Fe3O12 (GGA+U)

Data for an optimized crystal structure of Al4Fe3O12.

Geometry as POSCAR:
```
Al4Fe3O12
1.0
2.885 4.999 0.000
-2.885 4.999 0.000
0.000 0.063 14.187
Al O Fe
8 24 6
Direct
0.500 0.500 0.500 Al
0.000 0.000 0.000 Al
0.500 0.000 0.000 Al
0.000 0.500 0.000 Al
0.162 0.671 0.669 Al
0.671 0.162 0.669 Al
0.838 0.329 0.331 Al
0.329 0.838 0.331 Al
0.154 0.674 0.931 O
0.845 0.845 0.593 O
0.993 0.993 0.738 O
0.676 0.197 0.420 O
0.846 0.326 0.069 O
0.652 0.652 0.415 O
0.834 0.834 0.073 O
0.516 0.516 0.258 O
0.675 0.675 0.930 O
0.197 0.676 0.420 O
0.348 0.348 0.585 O
0.803 0.324 0.580 O
0.484 0.484 0.742 O
0.025 0.499 0.744 O
0.325 0.325 0.070 O
0.975 0.501 0.256 O
0.155 0.155 0.407 O
0.324 0.803 0.580 O
0.166 0.166 0.927 O
0.326 0.846 0.069 O
0.499 0.025 0.744 O
0.007 0.007 0.262 O
0.501 0.975 0.256 O
0.674 0.154 0.931 O
0.834 0.834 0.212 Fe
0.498 0.498 0.125 Fe
0.502 0.502 0.875 Fe
0.165 0.165 0.541 Fe
0.166 0.166 0.788 Fe
0.835 0.835 0.459 Fe
```

=====

<y>
## Al4Fe3O12 (GGA+U)

Data for an optimized crystal structure of Al4Fe3O12.

Geometry as POSCAR:
```
Al4Fe3O12
1.0
2.950 4.870 0.000
-2.950 4.870 0.000
0.000 0.264 14.097
O Al Fe
24 8 6
Direct
0.814 0.326 0.079 O
0.156 0.156 0.423 O
0.332 0.332 0.573 O
0.325 0.835 0.571 O
0.682 0.682 0.424 O
0.334 0.334 0.075 O
0.517 0.008 0.258 O
0.846 0.846 0.088 O
0.192 0.676 0.921 O
0.692 0.114 0.425 O
0.518 0.518 0.746 O
0.497 0.990 0.756 O
0.990 0.497 0.756 O
0.008 0.517 0.258 O
0.994 0.994 0.256 O
0.676 0.192 0.921 O
0.666 0.666 0.922 O
0.485 0.485 0.230 O
0.326 0.814 0.079 O
0.839 0.839 0.586 O
0.114 0.692 0.425 O
0.835 0.325 0.571 O
0.993 0.993 0.760 O
0.158 0.158 0.911 O
0.154 0.154 0.037 Al
0.826 0.826 0.714 Al
0.847 0.847 0.956 Al
0.828 0.828 0.334 Al
0.174 0.174 0.296 Al
0.999 0.999 0.506 Al
0.501 0.501 0.997 Al
0.504 0.504 0.617 Al
0.500 0.000 0.502 Fe
0.664 0.168 0.166 Fe
0.842 0.332 0.827 Fe
0.168 0.664 0.166 Fe
0.000 0.500 0.502 Fe
0.332 0.842 0.827 Fe
```

=====

<w> wins, 0.014 eV/atom ahead of the next structure.